Material: Li3TiNi4O8
Method: DFT, PBE with a Hubbard U
State: relaxed

Computed properties:
ΔE to the lowest computed polymorph   0.0 kJ/mol of atoms
Space-group type   P-1
Electronic total energy   -5.719 eV/atom
Energy relative to the elements   -1927 meV per atom

Lattice parameters (Å, degrees): 5.8978 5.9036 5.9195 119.91 59.76 90.45
Last column: nearest neighbours and their distance in Å.
Fractional positions:
Li1 0.0000 0.5000 0.0000  6 O 2.18-2.21
Li2 0.4999 0.5000 0.5000  6 O 2.03-2.25
Li3 0.0000 0.5000 0.5000  6 O 2.10-2.11
Ti1 0.5000 0.0000 0.0000  6 O 1.98-2.01
Ni1 0.0000 0.9996 0.9998  6 O 2.08-2.10
Ni2 0.0000 0.0001 0.4999  6 O 1.94-2.17
Ni3 0.4998 0.5003 0.0000  6 O 2.08-2.10
Ni4 0.5001 0.9998 0.5002  6 O 2.06-2.10
O1 0.7544 0.7763 0.5216  2 Ni 1.95-2.10, 1 Ti 2.01, 1 Li 2.10
O2 0.2457 0.2236 0.4783  2 Ni 1.95-2.10, 1 Ti 2.01, 1 Li 2.10
O3 0.2343 0.7717 0.5001  4 Ni 1.94-2.10, 1 Li 2.11
O4 0.7658 0.2284 0.5000  4 Ni 1.94-2.10, 1 Li 2.11
O5 0.2696 0.7538 0.9840  1 Ti 1.98, 2 Li 2.03-2.18, 3 Ni 2.10-2.16
O6 0.7352 0.7648 0.0029  1 Ti 1.98, 3 Ni 2.08-2.09, 2 Li 2.11-2.21
O7 0.2648 0.2353 0.9971  1 Ti 1.98, 3 Ni 2.08-2.09, 2 Li 2.11-2.21
O8 0.7303 0.2462 0.0161  1 Ti 1.98, 2 Li 2.03-2.18, 3 Ni 2.10-2.17


Material: Rb8W13O43
Method: DFT, PBE with a Hubbard U
State: relaxed

Computed properties:
Space-group type   P1
Electronic total energy   -6.887 eV/atom
Energy relative to the elements   -2171 meV per atom

Lattice parameters (Å, degrees): 7.3005 7.3855 24.0212 91.51 96.02 117.70
Last column: nearest neighbours and their distance in Å.
Fractional positions:
Rb1 0.9936 0.4796 0.9122  2 O 2.68-2.97
Rb2 0.5473 0.7319 0.8447  4 O 2.84-3.08
Rb3 0.4732 0.7443 0.6571  1 O 2.67
Rb4 0.0376 0.9888 0.5980  4 O 2.80-3.06
Rb5 0.9731 0.9645 0.4184  1 O 2.69
Rb6 0.5766 0.2468 0.3627  4 O 2.80-3.03
Rb7 0.4165 0.2213 0.1451  1 O 2.82
Rb8 0.0215 0.4688 0.0873  3 O 2.78-3.08
W1 0.4360 0.9604 0.0053  4 O 1.74-1.95
W2 0.5271 0.5033 0.9977  4 O 1.82-1.98
W3 0.9485 0.2285 0.7581  4 O 1.75-1.95
W4 0.0292 0.7603 0.7472  4 O 1.83-1.99
W5 0.2050 0.1123 0.8783  4 O 1.75-1.95
W6 0.5265 0.0142 0.5007  6 O 1.84-2.04
W7 0.4824 0.7284 0.2488  5 O 1.88-1.96
W8 0.6914 0.3623 0.6313  3 O 1.75-1.92
W9 0.7823 0.8943 0.1194  3 O 1.77-1.94
W10 0.0015 0.7550 0.2489  6 O 1.90-1.98
W11 0.9779 0.2388 0.2521  5 O 1.86-1.97
W12 0.2093 0.6198 0.3813  3 O 1.77-1.95
W13 0.4519 0.4833 0.5072  4 O 1.75-1.94
O1 0.1782 0.2696 0.8170  2 W 1.95-1.98
O2 0.7647 0.6103 0.9646  1 W 1.82
O3 0.0831 0.5243 0.7627  2 W 1.93-1.99
O4 0.4002 0.3629 0.9165  2 W 1.87-2.09
O5 0.1610 0.8971 0.8227  2 W 1.93-1.97
O6 0.5199 0.7768 0.9781  1 W 1.86
O7 0.7604 0.6403 0.7651  1 W 1.84
O8 0.2616 0.8881 0.7120  1 W 1.83
O9 0.6653 0.5191 0.5683  2 W 1.94-1.98
O10 0.3305 0.9826 0.9295  2 W 1.94-1.98
O11 0.5810 0.7772 0.5151  2 W 1.92-2.00
O12 0.4447 0.7226 0.3259  1 W 1.90
O13 0.8940 0.6151 0.6669  2 W 1.87-2.09
O14 0.9662 0.0450 0.9026  1 W 1.75
O15 0.6797 0.1652 0.5755  2 W 1.92-2.01
O16 0.7496 0.1385 0.8011  1 W 1.75
O17 0.9717 0.0050 0.7276  2 W 1.87-2.09
O18 0.2782 0.8945 0.5312  1 W 1.85
O19 0.0989 0.7539 0.3253  2 W 1.90-2.01
O20 0.7947 0.2286 0.6867  2 W 1.95-1.97
O21 0.7631 0.1314 0.4659  1 W 1.84
O22 0.0902 0.0505 0.2636  2 W 1.93-1.98
O23 0.0091 0.0257 0.0866  1 W 1.77
O24 0.2799 0.8267 0.2304  2 W 1.95
O25 0.3679 0.8734 0.4242  2 W 1.88-2.03
O26 0.4467 0.3009 0.6512  1 W 1.75
O27 0.2313 0.3919 0.5421  1 W 1.75
O28 0.0817 0.3665 0.3273  2 W 1.92-2.01
O29 0.4654 0.2479 0.4798  2 W 1.89-2.04
O30 0.7175 0.0477 0.2693  1 W 1.86
O31 0.2799 0.4521 0.2321  1 W 1.88
O32 0.6159 0.9979 0.0768  2 W 1.94-1.98
O33 0.3487 0.4977 0.4289  2 W 1.95-1.97
O34 0.5463 0.2564 0.0192  2 W 1.95-1.97
O35 0.8981 0.1470 0.1743  2 W 1.90-2.03
O36 0.9759 0.5388 0.4119  1 W 1.77
O37 0.9148 0.4646 0.2349  2 W 1.94-1.97
O38 0.6475 0.6338 0.0748  2 W 1.93-1.98
O39 0.7244 0.6807 0.2666  2 W 1.93-1.96
O40 0.2512 0.4169 0.0064  1 W 1.85
O41 0.9184 0.7759 0.1720  2 W 1.92-1.99
O42 0.5540 0.7771 0.1741  2 W 1.92-2.11
O43 0.2002 0.8235 0.0319  1 W 1.74


Material: Na2Fe2NiP3O12
Method: DFT, PBE with a Hubbard U
State: relaxed

Computed properties:
Space-group type   C2/c
Electronic total energy   -6.630 eV/atom
Energy relative to the elements   -2346 meV per atom

Lattice parameters (Å, degrees): 8.6494 8.6494 6.5607 74.00 74.00 93.61
Last column: nearest neighbours and their distance in Å.
Fractional positions:
Na1 0.9853 0.0147 0.2500  4 O 2.44-2.59
Na2 0.0147 0.9853 0.7500  4 O 2.44-2.59
Na3 0.5000 0.5000 0.0000  6 O 2.35-2.56
Na4 0.5000 0.5000 0.5000  6 O 2.35-2.56
Fe1 0.3806 0.0560 0.3745  6 O 1.97-2.15
Fe2 0.6194 0.9440 0.6255  6 O 1.97-2.15
Fe3 0.9440 0.6194 0.1255  6 O 1.97-2.15
Fe4 0.0560 0.3806 0.8745  6 O 1.97-2.15
Ni1 0.2648 0.7352 0.2500  6 O 2.13-2.20
Ni2 0.7352 0.2648 0.7500  6 O 2.13-2.20
P1 0.7098 0.2902 0.2500  4 O 1.54-1.57
P2 0.2902 0.7098 0.7500  4 O 1.54-1.57
P3 0.6545 0.8754 0.1188  4 O 1.54-1.57
P4 0.3455 0.1246 0.8812  4 O 1.54-1.57
P5 0.1246 0.3455 0.3812  4 O 1.54-1.57
P6 0.8754 0.6545 0.6188  4 O 1.54-1.57
O1 0.5309 0.2628 0.2556  1 P 1.54
O2 0.4691 0.7372 0.7444  1 P 1.54
O3 0.7372 0.4691 0.2444  1 P 1.54
O4 0.2628 0.5309 0.7556  1 P 1.54
O5 0.5208 0.7323 0.1664  1 P 1.54
O6 0.4792 0.2677 0.8336  1 P 1.54
O7 0.2677 0.4792 0.3336  1 P 1.54
O8 0.7323 0.5208 0.6664  1 P 1.54
O9 0.7422 0.1792 0.4624  1 P 1.57
O10 0.2578 0.8208 0.5376  1 P 1.57
O11 0.8208 0.2578 0.0376  1 P 1.57
O12 0.1792 0.7422 0.9624  1 P 1.57
O13 0.6035 0.9565 0.3076  1 P 1.56
O14 0.3965 0.0435 0.6924  1 P 1.56
O15 0.0435 0.3965 0.1924  1 P 1.56
O16 0.9565 0.6035 0.8076  1 P 1.56
O17 0.8252 0.8250 0.1092  1 P 1.56
O18 0.1748 0.1750 0.8908  1 P 1.56
O19 0.1750 0.1748 0.3908  1 P 1.56
O20 0.8250 0.8252 0.6092  1 P 1.56
O21 0.3229 0.9938 0.1120  1 P 1.57
O22 0.6771 0.0062 0.8880  1 P 1.57
O23 0.0062 0.6771 0.3880  1 P 1.57
O24 0.9938 0.3229 0.6120  1 P 1.57


Material: KLa5V2O13
Method: DFT, PBE with a Hubbard U
State: relaxed

Computed properties:
Space-group type   C2/m
Electronic total energy   -7.958 eV/atom
Energy relative to the elements   -3389 meV per atom

Lattice parameters (Å, degrees): 5.9710 10.6177 12.3602 66.55 76.02 73.67
Last column: nearest neighbours and their distance in Å.
Fractional positions:
K1 0.2489 0.5000 0.5000  8 O 2.76-2.93, 2 K 2.97-3.00
K2 0.7511 0.5000 0.5000  8 O 2.76-2.93, 2 K 2.97-3.00
La1 0.2363 0.7685 0.7589  6 O 2.37-2.62
La2 0.7637 0.2315 0.2411  6 O 2.37-2.62
La3 0.1921 0.5296 0.0862  6 O 2.38-2.62
La4 0.8079 0.4704 0.9138  6 O 2.38-2.62
La5 0.6640 0.0563 0.6156  3 O 2.31-2.50
La6 0.3360 0.9437 0.3844  3 O 2.31-2.50
La7 0.6085 0.8413 0.9417  8 O 2.47-2.76
La8 0.3915 0.1587 0.0583  8 O 2.47-2.76
La9 0.0308 0.1031 0.8354  6 O 2.37-2.63
La10 0.9692 0.8969 0.1646  6 O 2.37-2.63
V1 0.1576 0.2430 0.4418  4 O 1.71-1.77
V2 0.8424 0.7570 0.5582  4 O 1.71-1.77
V3 0.4394 0.3593 0.7618  4 O 1.72-1.76
V4 0.5606 0.6407 0.2382  4 O 1.72-1.76
O1 0.3875 0.9568 0.7707  4 La 2.31-2.48
O2 0.8851 0.9568 0.7707  4 La 2.31-2.48
O3 0.6125 0.0432 0.2293  4 La 2.31-2.48
O4 0.1149 0.0432 0.2293  4 La 2.31-2.48
O5 0.9766 0.1449 0.4281  1 V 1.77
O6 0.4504 0.1449 0.4281  1 V 1.77
O7 0.0234 0.8551 0.5719  1 V 1.77
O8 0.5496 0.8551 0.5719  1 V 1.77
O9 0.1313 0.4054 0.3319  1 V 1.71
O10 0.8687 0.5946 0.6681  1 V 1.71
O11 0.3403 0.6988 0.1466  1 V 1.76
O12 0.8144 0.6988 0.1466  1 V 1.76
O13 0.6597 0.3012 0.8534  1 V 1.76
O14 0.1856 0.3012 0.8534  1 V 1.76
O15 0.4626 0.6494 0.9175  4 La 2.37-2.57
O16 0.9705 0.6494 0.9175  4 La 2.37-2.57
O17 0.5374 0.3506 0.0825  4 La 2.37-2.57
O18 0.0295 0.3506 0.0825  4 La 2.37-2.57
O19 0.5324 0.2826 0.6527  1 V 1.75
O20 0.4676 0.7174 0.3473  1 V 1.75
O21 0.0814 0.2556 0.5815  1 V 1.73
O22 0.9186 0.7444 0.4185  1 V 1.73
O23 0.3826 0.5387 0.6961  1 V 1.72
O24 0.6174 0.4613 0.3039  1 V 1.72
O25 0.2428 0.0000 0.0000  4 La 2.37-2.50
O26 0.7572 0.0000 0.0000  4 La 2.37-2.50


Material: Li7Co5O12
Method: DFT, PBE with a Hubbard U
State: relaxed

Computed properties:
ΔE to the lowest computed polymorph   8.5 kJ/mol of atoms
Space-group type   P2/m
Electronic total energy   -5.501 eV/atom
Energy relative to the elements   -1674 meV per atom

Lattice parameters (Å, degrees): 2.9927 5.0626 14.2154 86.90 90.00 90.00
Last column: nearest neighbours and their distance in Å.
Fractional positions:
Li1 0.0000 0.0000 0.5000  6 O 2.18-2.24
Li2 0.5000 0.8300 0.6670  6 O 2.01-2.19
Li3 0.0000 0.6695 0.8323  6 O 2.10-2.17
Li4 0.5000 0.5000 0.0000  6 O 2.13
Li5 0.0000 0.3305 0.1677  6 O 2.10-2.17
Li6 0.5000 0.1700 0.3330  6 O 2.01-2.19
Li7 0.5000 0.5000 0.5000  6 O 2.02-2.12
Co1 0.0000 0.6668 0.3410  2 O 1.72-1.90
Co2 0.0000 0.3332 0.6590  2 O 1.72-1.90
Co3 0.5000 0.1786 0.8322  6 O 1.88-2.08
Co4 0.0000 0.0000 0.0000  6 O 1.94-2.07
Co5 0.5000 0.8214 0.1678  6 O 1.88-2.08
O1 0.0000 0.6288 0.5930  1 Co 1.72
O2 0.5000 0.4826 0.7497  1 Co 1.88, 1 Li 2.06
O3 0.0000 0.3190 0.9179  3 Co 1.94-2.08, 3 Li 2.10-2.13
O4 0.5000 0.1396 0.0848  3 Co 1.94-2.07, 3 Li 2.13-2.17
O5 0.0000 0.9612 0.2526  3 Co 1.90-2.07
O6 0.5000 0.8260 0.4110  2 Co 1.99, 4 Li 2.01-2.18
O7 0.0000 0.3712 0.4070  1 Co 1.72
O8 0.5000 0.1740 0.5890  2 Co 1.99, 4 Li 2.01-2.18
O9 0.0000 0.0388 0.7474  3 Co 1.90-2.07
O10 0.5000 0.8604 0.9152  3 Co 1.94-2.07, 3 Li 2.13-2.17
O11 0.0000 0.6810 0.0821  3 Co 1.94-2.08, 3 Li 2.10-2.13
O12 0.5000 0.5174 0.2503  1 Co 1.88, 1 Li 2.06


Material: LiCrSnO4
Method: DFT, PBE with a Hubbard U
State: relaxed

Computed properties:
ΔE to the lowest computed polymorph   8.4 kJ/mol of atoms
Largest piezoelectric modulus   0.03 C/m2
Space-group type   P4_322
Electronic total energy   -6.566 eV/atom
Energy relative to the elements   -2192 meV per atom

Lattice parameters (Å, degrees): 6.0972 6.0967 8.5521 90.00 90.01 90.00
Last column: nearest neighbours and their distance in Å.
Fractional positions:
Li1 0.0000 0.2326 0.0000  6 O 2.06-2.21
Li2 0.0000 0.7674 0.5000  6 O 2.05-2.21
Li3 0.2326 0.0000 0.2500  6 O 2.06-2.21
Li4 0.7674 0.0000 0.7500  6 O 2.06-2.21
Cr1 0.5000 0.2431 0.0000  6 O 1.99-2.06
Cr2 0.5001 0.7569 0.4999  6 O 1.99-2.06
Cr3 0.2431 0.5003 0.2499  6 O 1.99-2.06
Cr4 0.7572 0.5000 0.7499  6 O 1.99-2.06
Sn1 0.2517 0.2518 0.6250  4 O 1.97-2.01
Sn2 0.2518 0.7480 0.8750  4 O 1.97-2.01
Sn3 0.7482 0.2517 0.3750  4 O 1.97-2.01
Sn4 0.7482 0.7480 0.1251  4 O 1.97-2.01
O1 0.0202 0.2620 0.2510  1 Sn 1.97, 1 Cr 1.99, 2 Li 2.06-2.16
O2 0.0202 0.7381 0.2491  1 Sn 1.97, 1 Cr 1.99, 2 Li 2.06-2.16
O3 0.2619 0.0202 0.9989  1 Sn 1.97, 1 Cr 1.99, 2 Li 2.06-2.16
O4 0.2619 0.9797 0.5010  1 Sn 1.97, 1 Cr 1.99, 2 Li 2.06-2.16
O5 0.7381 0.0202 0.0011  1 Sn 1.97, 1 Cr 1.99, 2 Li 2.06-2.16
O6 0.7382 0.9797 0.4991  1 Sn 1.97, 1 Cr 1.99, 2 Li 2.05-2.16
O7 0.9797 0.2619 0.7490  1 Sn 1.97, 1 Cr 1.99, 2 Li 2.06-2.16
O8 0.9797 0.7381 0.7510  1 Sn 1.97, 1 Cr 1.99, 2 Li 2.06-2.16
O9 0.2626 0.4816 0.0138  1 Sn 2.01, 2 Cr 2.03-2.06, 1 Li 2.21
O10 0.2626 0.5184 0.4863  1 Sn 2.01, 2 Cr 2.03-2.06, 1 Li 2.21
O11 0.4816 0.2627 0.2363  1 Sn 2.01, 2 Cr 2.03-2.06, 1 Li 2.21
O12 0.4816 0.7374 0.2637  1 Sn 2.01, 2 Cr 2.03-2.05, 1 Li 2.21
O13 0.5183 0.2626 0.7638  1 Sn 2.01, 2 Cr 2.03-2.06, 1 Li 2.21
O14 0.5183 0.7373 0.7362  1 Sn 2.01, 2 Cr 2.03-2.06, 1 Li 2.21
O15 0.7374 0.5184 0.5137  1 Sn 2.01, 2 Cr 2.03-2.05, 1 Li 2.21
O16 0.7374 0.4816 0.9862  1 Sn 2.01, 2 Cr 2.03-2.05, 1 Li 2.21


Material: LiV2F5
Method: DFT, PBE with a Hubbard U
State: relaxed

Computed properties:
ΔE to the lowest computed polymorph   1.2 kJ/mol of atoms
Space-group type   C2/c
Electronic total energy   -5.956 eV/atom
Energy relative to the elements   -2963 meV per atom

Lattice parameters (Å, degrees): 6.0041 6.0041 7.7518 68.96 68.96 52.48
Last column: nearest neighbours and their distance in Å.
Fractional positions:
Li1 0.0000 0.0000 0.0000  6 F 2.03-2.22
Li2 0.0000 0.0000 0.5000  6 F 2.03-2.22
V1 0.6258 0.6208 0.2855  6 F 2.07-2.23
V2 0.6208 0.6258 0.7855  6 F 2.07-2.23
V3 0.3792 0.3742 0.2145  6 F 2.07-2.23
V4 0.3742 0.3792 0.7145  6 F 2.07-2.23
F1 0.7960 0.2040 0.7500  2 V 2.15, 2 Li 2.22
F2 0.7431 0.4219 0.0555  1 Li 2.13, 3 V 2.14-2.23
F3 0.9662 0.6637 0.6499  1 Li 2.03, 2 V 2.07-2.08
F4 0.6637 0.9662 0.1499  1 Li 2.03, 2 V 2.07-2.08
F5 0.4219 0.7431 0.5555  1 Li 2.13, 3 V 2.14-2.23
F6 0.2040 0.7960 0.2500  2 V 2.15, 2 Li 2.22
F7 0.5781 0.2569 0.4445  1 Li 2.13, 3 V 2.14-2.23
F8 0.3363 0.0338 0.8501  1 Li 2.03, 2 V 2.07-2.08
F9 0.0338 0.3363 0.3501  1 Li 2.03, 2 V 2.07-2.08
F10 0.2569 0.5781 0.9445  1 Li 2.13, 3 V 2.14-2.23


Material: MnV2O6
Method: DFT, PBE with a Hubbard U
State: relaxed

Computed properties:
Electronic total energy   -7.648 eV/atom
Energy relative to the elements   -2334 meV per atom

Lattice parameters (Å, degrees): 3.6004 8.1574 10.1171 117.87 90.00 102.75
Last column: nearest neighbours and their distance in Å.
Fractional positions:
Mn1 0.5000 0.0000 0.5000  6 O 2.10-2.26
Mn2 0.0000 0.0000 0.0000  6 O 2.10-2.26
V1 0.1578 0.3157 0.4072  2 O 1.67-1.72
V2 0.8422 0.6843 0.5928  2 O 1.67-1.72
V3 0.6578 0.3157 0.9072  2 O 1.67-1.72
V4 0.3422 0.6843 0.0928  2 O 1.67-1.72
O1 0.0636 0.1272 0.4453  1 V 1.72
O2 0.5636 0.1273 0.9453  1 V 1.72
O3 0.9364 0.8727 0.5547  1 V 1.72
O4 0.4364 0.8728 0.0547  1 V 1.72
O5 0.1149 0.2298 0.2210  1 V 1.67
O6 0.6148 0.2297 0.7210  1 V 1.67
O7 0.8852 0.7703 0.7790  1 V 1.67
O8 0.3851 0.7702 0.2790  1 V 1.67
O9 0.3035 0.6070 0.5367  3 V 1.90-2.04
O10 0.8035 0.6070 0.0367  3 V 1.90-2.04
O11 0.6965 0.3930 0.4633  3 V 1.90-2.04
O12 0.1965 0.3930 0.9633  3 V 1.90-2.04


Question: Which value of electronic total energy does entry 2 give?
Answer: -6.887 eV/atom


Question: Which of these has the highest electronic total energy?
Answer: Li7Co5O12